The following is a PBE-GGA calculation of a geometry-optimized PNCl2 structure, from the Materials Project.

Cell lengths 15.5084, 15.5084, 6.0670 Å; angles 90.00, 90.00, 90.00 degrees
Space group P4_2/n (No. 86, origin choice 2)
Symmetry-distinct sites (fractional):
P 0.0625 0.1087 0.1430 [8 per cell]
P 0.0650 0.6118 0.5142 [8 per cell]
N 0.0205 0.3870 0.3421 [8 per cell]
N 0.0251 0.8828 0.9892 [8 per cell]
Cl 0.0431 0.6654 0.2142 [8 per cell]
Cl 0.0477 0.1484 0.4578 [8 per cell]
Cl 0.1407 0.1998 0.0121 [8 per cell]
Cl 0.1448 0.6964 0.6605 [8 per cell]

Results
Its polymorph energy (0 for the lowest one) is 0.010 eV/atom. Its formation energy is -83.8 kJ/mol of atoms. The calculation puts the calculated total energy at -4.923 eV/atom.